Record 1
! Fe4OF7 GGA+U optimized geometry; values from VASP
&SYSTEM
  ibrav = 0, nat = 24, ntyp = 3
/
ATOMIC_SPECIES
F 19.00 F.upf
O 16.00 O.upf
Fe 55.84 Fe.upf
ATOMIC_POSITIONS crystal
F 0.073 0.849 0.226
F 0.642 0.604 0.552
F 0.572 0.859 0.721
F 0.338 0.345 0.960
F 0.892 0.097 0.318
F 0.683 0.647 0.023
F 0.345 0.403 0.449
F 0.843 0.392 0.951
F 0.438 0.155 0.256
F 0.117 0.909 0.678
F 0.166 0.650 0.533
F 0.399 0.096 0.790
F 0.160 0.601 0.051
F 0.910 0.151 0.793
O 0.805 0.341 0.495
O 0.589 0.905 0.218
Fe 0.505 0.995 0.471
Fe 0.245 0.502 0.750
Fe 0.386 0.755 0.132
Fe 0.635 0.256 0.840
Fe 0.754 0.494 0.262
Fe 0.117 0.258 0.376
Fe 0.869 0.751 0.625
Fe 0.983 0.991 0.010
CELL_PARAMETERS angstrom
-4.795 0.001 3.253
-0.001 9.618 -3.245
-4.803 -0.005 -3.262
! **SG**: P1, No. 1

Record 2
! Fe2O3F GGA+U optimized geometry; values from VASP
&SYSTEM
  ibrav = 0, nat = 12, ntyp = 3
/
ATOMIC_SPECIES
O 16.00 O.upf
Fe 55.84 Fe.upf
F 19.00 F.upf
ATOMIC_POSITIONS crystal
O 0.693 0.000 0.193
O 0.307 0.500 0.307
O 0.178 0.428 0.750
O 0.822 0.572 0.250
O 0.307 0.000 0.807
O 0.693 0.500 0.693
Fe 0.465 0.715 0.750
Fe 0.000 0.000 0.500
Fe 0.535 0.285 0.250
Fe 0.000 0.500 0.000
F 0.202 0.952 0.250
F 0.798 0.048 0.750
CELL_PARAMETERS angstrom
0.998 -4.054 3.716
2.520 4.471 2.212
-5.503 0.566 -0.797
! **SG**: Imma, No. 74

Record 3
! Fe4OF7 GGA+U optimized geometry; values from VASP
&SYSTEM
  ibrav = 0, nat = 24, ntyp = 3
/
ATOMIC_SPECIES
Fe 55.84 Fe.upf
F 19.00 F.upf
O 16.00 O.upf
ATOMIC_POSITIONS crystal
Fe 0.509 0.509 0.635
Fe 0.491 0.491 0.365
Fe 0.980 0.980 0.750
Fe 0.000 0.000 0.500
Fe 0.491 0.491 0.135
Fe 0.020 0.020 0.250
Fe 0.000 0.000 0.000
Fe 0.509 0.509 0.865
F 0.307 0.307 0.998
F 0.307 0.307 0.502
F 0.208 0.794 0.378
F 0.792 0.206 0.878
F 0.285 0.285 0.750
F 0.206 0.792 0.878
F 0.792 0.206 0.622
F 0.715 0.715 0.250
F 0.794 0.208 0.378
F 0.208 0.794 0.122
F 0.693 0.693 0.498
F 0.794 0.208 0.122
F 0.206 0.792 0.622
F 0.693 0.693 0.002
O 0.306 0.306 0.250
O 0.694 0.694 0.750
CELL_PARAMETERS angstrom
-3.713 -1.917 -2.475
-1.161 -2.662 3.893
-7.573 9.337 4.128
! **SG**: Cmcm, No. 63

Record 4
! Fe5O3F7 GGA+U optimized geometry; values from VASP
&SYSTEM
  ibrav = 0, nat = 30, ntyp = 3
/
ATOMIC_SPECIES
F 19.00 F.upf
O 16.00 O.upf
Fe 55.84 Fe.upf
ATOMIC_POSITIONS crystal
F 0.308 0.297 0.205
F 0.206 0.779 0.689
F 0.683 0.691 0.792
F 0.708 0.705 0.404
F 0.200 0.799 0.105
F 0.190 0.806 0.505
F 0.300 0.291 0.596
F 0.692 0.711 0.003
F 0.799 0.195 0.506
F 0.778 0.221 0.906
F 0.219 0.793 0.292
F 0.285 0.308 0.000
F 0.308 0.321 0.790
F 0.706 0.697 0.210
O 0.176 0.825 0.905
O 0.322 0.327 0.404
O 0.809 0.204 0.295
O 0.687 0.679 0.595
O 0.806 0.181 0.696
O 0.819 0.178 0.100
Fe 0.520 0.483 0.100
Fe 0.002 0.004 0.802
Fe 0.999 0.003 0.999
Fe 0.031 0.038 0.395
Fe 0.950 0.967 0.606
Fe 0.520 0.468 0.306
Fe 0.975 0.021 0.199
Fe 0.494 0.503 0.500
Fe 0.539 0.475 0.694
Fe 0.467 0.530 0.900
CELL_PARAMETERS angstrom
4.792 0.000 0.000
0.122 4.795 0.000
0.006 0.135 15.630
! **SG**: P1, No. 1

Record 5
! Fe5O3F7 GGA+U optimized geometry; values from VASP
&SYSTEM
  ibrav = 0, nat = 30, ntyp = 3
/
ATOMIC_SPECIES
F 19.00 F.upf
O 16.00 O.upf
Fe 55.84 Fe.upf
ATOMIC_POSITIONS crystal
F 0.051 0.314 0.494
F 0.457 0.494 0.701
F 0.448 0.705 0.496
F 0.552 0.705 0.996
F 0.949 0.088 0.199
F 0.051 0.088 0.699
F 0.949 0.314 0.994
F 0.543 0.494 0.201
F 0.950 0.696 0.602
F 0.050 0.696 0.102
F 0.047 0.509 0.298
F 0.534 0.307 0.408
F 0.466 0.307 0.908
F 0.953 0.509 0.798
O 0.575 0.078 0.596
O 0.425 0.078 0.096
O 0.429 0.885 0.299
O 0.941 0.901 0.409
O 0.059 0.901 0.909
O 0.571 0.885 0.799
Fe 0.271 0.376 0.600
Fe 0.772 0.649 0.893
Fe 0.246 0.003 0.000
Fe 0.724 0.823 0.698
Fe 0.754 0.003 0.500
Fe 0.276 0.823 0.198
Fe 0.740 0.171 0.306
Fe 0.260 0.171 0.806
Fe 0.228 0.649 0.393
Fe 0.729 0.376 0.100
CELL_PARAMETERS angstrom
-0.172 -0.831 4.750
4.573 -1.565 -0.108
9.569 13.012 2.621
! **SG**: Pc, No. 7

Record 6
! Fe4O7F GGA+U optimized geometry; values from VASP
&SYSTEM
  ibrav = 0, nat = 24, ntyp = 3
/
ATOMIC_SPECIES
O 16.00 O.upf
F 19.00 F.upf
Fe 55.84 Fe.upf
ATOMIC_POSITIONS crystal
O 0.193 0.785 0.836
O 0.188 0.027 0.093
O 0.802 0.831 0.279
O 0.302 0.169 0.721
O 0.805 0.351 0.792
O 0.693 0.215 0.164
O 0.816 0.597 0.025
O 0.316 0.403 0.975
O 0.688 0.973 0.907
O 0.809 0.091 0.534
O 0.305 0.649 0.208
O 0.193 0.537 0.593
O 0.693 0.463 0.407
O 0.309 0.909 0.466
F 0.696 0.718 0.657
F 0.196 0.282 0.343
Fe 0.484 0.687 0.427
Fe 0.984 0.313 0.573
Fe 0.023 0.557 0.818
Fe 0.990 0.048 0.316
Fe 0.490 0.952 0.684
Fe 0.523 0.443 0.182
Fe 0.501 0.185 0.943
Fe 0.001 0.815 0.057
CELL_PARAMETERS angstrom
-2.676 -2.726 2.638
6.180 -3.389 2.764
1.830 4.114 6.107
! **SG**: P2_1, No. 4

Record 7
! Fe2OF3 GGA+U optimized geometry; values from VASP
&SYSTEM
  ibrav = 0, nat = 24, ntyp = 3
/
ATOMIC_SPECIES
Fe 55.84 Fe.upf
O 16.00 O.upf
F 19.00 F.upf
ATOMIC_POSITIONS crystal
Fe 0.240 0.240 0.033
Fe 0.500 0.500 0.000
Fe 0.378 0.870 0.500
Fe 0.870 0.378 0.500
Fe 0.000 0.000 0.000
Fe 0.760 0.760 0.967
Fe 0.622 0.130 0.500
Fe 0.130 0.622 0.500
O 0.833 0.833 0.667
O 0.579 0.579 0.682
O 0.167 0.167 0.333
O 0.421 0.421 0.318
F 0.704 0.193 0.790
F 0.551 0.052 0.205
F 0.449 0.948 0.795
F 0.193 0.704 0.790
F 0.052 0.551 0.205
F 0.926 0.926 0.301
F 0.948 0.449 0.795
F 0.322 0.322 0.707
F 0.074 0.074 0.699
F 0.807 0.296 0.210
F 0.678 0.678 0.293
F 0.296 0.807 0.210
CELL_PARAMETERS angstrom
-5.836 4.036 -7.419
-2.844 -0.773 -9.834
-3.740 -2.909 1.158
! **SG**: C2/m, No. 12

Record 8
! Fe5O8F2 GGA+U optimized geometry; values from VASP
&SYSTEM
  ibrav = 0, nat = 30, ntyp = 3
/
ATOMIC_SPECIES
Fe 55.84 Fe.upf
F 19.00 F.upf
O 16.00 O.upf
ATOMIC_POSITIONS crystal
Fe 0.476 0.093 0.313
Fe 0.005 0.405 0.193
Fe 0.537 0.710 0.093
Fe 0.984 0.801 0.407
Fe 0.480 0.890 0.693
Fe 0.981 0.190 0.608
Fe 0.039 0.996 0.000
Fe 0.513 0.499 0.490
Fe 0.990 0.604 0.805
Fe 0.488 0.314 0.903
F 0.194 0.435 0.620
F 0.218 0.647 0.215
F 0.698 0.060 0.883
F 0.808 0.159 0.178
O 0.692 0.650 0.668
O 0.820 0.562 0.369
O 0.693 0.860 0.277
O 0.174 0.036 0.429
O 0.300 0.727 0.511
O 0.705 0.474 0.079
O 0.324 0.934 0.128
O 0.197 0.240 0.024
O 0.316 0.556 0.928
O 0.309 0.337 0.320
O 0.187 0.836 0.820
O 0.786 0.958 0.581
O 0.685 0.262 0.479
O 0.798 0.766 0.985
O 0.297 0.140 0.724
O 0.808 0.360 0.778
CELL_PARAMETERS angstrom
-4.634 0.066 -0.001
-0.068 4.622 -6.013
0.131 -9.241 -3.002
! **SG**: P1, No. 1

Record 9
! Fe2OF3 GGA+U optimized geometry; values from VASP
&SYSTEM
  ibrav = 0, nat = 18, ntyp = 3
/
ATOMIC_SPECIES
O 16.00 O.upf
F 19.00 F.upf
Fe 55.84 Fe.upf
ATOMIC_POSITIONS crystal
O 0.317 0.317 0.671
O 0.674 0.674 0.000
O 0.317 0.317 0.329
F 0.212 0.803 0.500
F 0.706 0.706 0.664
F 0.205 0.794 0.831
F 0.803 0.212 0.500
F 0.794 0.205 0.169
F 0.287 0.287 0.000
F 0.706 0.706 0.336
F 0.794 0.205 0.831
F 0.205 0.794 0.169
Fe 0.968 0.968 0.000
Fe 0.471 0.471 0.500
Fe 0.500 0.500 0.167
Fe 0.500 0.500 0.833
Fe 0.020 0.020 0.333
Fe 0.020 0.020 0.667
CELL_PARAMETERS angstrom
3.324 -3.456 0.000
3.324 3.456 0.000
0.000 0.000 9.263
! **SG**: Amm2, No. 38

Record 10
! Fe3O5F GGA+U optimized geometry; values from VASP
&SYSTEM
  ibrav = 0, nat = 18, ntyp = 3
/
ATOMIC_SPECIES
O 16.00 O.upf
Fe 55.84 Fe.upf
F 19.00 F.upf
ATOMIC_POSITIONS crystal
O 0.806 0.806 0.496
O 0.695 0.305 0.000
O 0.179 0.179 0.169
O 0.315 0.700 0.667
O 0.194 0.194 0.504
O 0.300 0.685 0.333
O 0.700 0.315 0.667
O 0.685 0.300 0.333
O 0.821 0.821 0.831
O 0.305 0.695 0.000
Fe 0.526 0.526 0.833
Fe 0.996 0.996 0.658
Fe 0.004 0.004 0.342
Fe 0.474 0.474 0.167
Fe 0.500 0.500 0.500
Fe 0.000 0.000 0.000
F 0.205 0.205 0.832
F 0.795 0.795 0.168
CELL_PARAMETERS angstrom
-2.374 -3.187 -2.394
2.036 1.174 -3.999
6.512 -6.067 1.409
! **SG**: C2/m, No. 12

Record 11
! Fe2OF3 GGA+U optimized geometry; values from VASP
&SYSTEM
  ibrav = 0, nat = 24, ntyp = 3
/
ATOMIC_SPECIES
O 16.00 O.upf
F 19.00 F.upf
Fe 55.84 Fe.upf
ATOMIC_POSITIONS crystal
O 0.321 0.321 0.754
O 0.669 0.669 0.000
O 0.312 0.312 0.500
O 0.321 0.321 0.246
F 0.202 0.793 0.124
F 0.202 0.793 0.876
F 0.293 0.293 0.000
F 0.795 0.211 0.376
F 0.793 0.202 0.124
F 0.211 0.795 0.376
F 0.692 0.692 0.500
F 0.705 0.705 0.749
F 0.793 0.202 0.876
F 0.795 0.211 0.624
F 0.705 0.705 0.251
F 0.211 0.795 0.624
Fe 0.500 0.500 0.876
Fe 0.475 0.475 0.375
Fe 0.500 0.500 0.124
Fe 0.010 0.010 0.500
Fe 0.024 0.024 0.750
Fe 0.475 0.475 0.625
Fe 0.024 0.024 0.250
Fe 0.972 0.972 0.000
CELL_PARAMETERS angstrom
-3.459 -3.419 0.083
3.443 -3.307 0.933
-1.530 1.843 12.175
! **SG**: Amm2, No. 38

Record 12
! Fe6O7F5 GGA+U optimized geometry; values from VASP
&SYSTEM
  ibrav = 0, nat = 18, ntyp = 3
/
ATOMIC_SPECIES
F 19.00 F.upf
O 16.00 O.upf
Fe 55.84 Fe.upf
ATOMIC_POSITIONS crystal
F 0.203 0.229 0.037
F 0.697 0.106 0.801
F 0.202 0.569 0.365
F 0.303 0.895 0.196
F 0.302 0.568 0.876
O 0.804 0.444 0.625
O 0.805 0.093 0.295
O 0.187 0.905 0.704
O 0.802 0.767 0.966
O 0.307 0.236 0.541
O 0.686 0.777 0.462
O 0.703 0.422 0.125
Fe 0.991 0.988 0.001
Fe 0.484 0.002 0.499
Fe 0.512 0.345 0.815
Fe 0.980 0.316 0.352
Fe 0.557 0.651 0.180
Fe 0.975 0.685 0.660
CELL_PARAMETERS angstrom
-4.711 -0.038 0.001
0.037 4.709 -6.179
-0.039 -4.682 -3.065
! **SG**: P1, No. 1

| no. | offset from the most stable computed form (meV/atom) |
| --- | --- |
| 1 | 5.9 |
| 2 | 0.0 |
| 3 | 26.4 |
| 4 | 9.6 |
| 5 | 3.5 |
| 6 | 1.5 |
| 7 | 59.2 |
| 8 | 34.3 |
| 9 | 44.6 |
| 10 | 5.2 |
| 11 | 37.2 |
| 12 | 22.9 |